Entry from the Materials Project database: crystalline Tl2Re3S6 at its relaxed geometry (PBE).

## Properties
symmetry = C2/c (15)
energy with MP2020 corrections = -302.01 eV per cell

Unit cell a=9.7549 b=9.7549 c=11.9981 alpha=89.94 beta=89.94 gamma=61.01
Atoms (fractional coordinates):
Re (0.6013, 0.8132, 0.9175)
Tl (0.7930, 0.2070, 0.7500)
S (0.0564, 0.6074, 0.7169)
S (0.2539, 0.0740, 0.1690)
Tl (0.8764, 0.3537, 0.0132)
S (0.2839, 0.2089, 0.4312)
Re (0.9923, 0.6921, 0.5254)
Re (0.8132, 0.6013, 0.4175)
S (0.0740, 0.2539, 0.6690)
S (0.0094, 0.0578, 0.4273)
Tl (0.6463, 0.1236, 0.4868)
Re (0.0077, 0.3079, 0.4746)
Re (0.4739, 0.1157, 0.8689)
Tl (0.1236, 0.6463, 0.9868)
S (0.7314, 0.5614, 0.8065)
S (0.2089, 0.2839, 0.9312)
Re (0.3987, 0.1868, 0.0825)
Re (0.1868, 0.3987, 0.5825)
Re (0.1157, 0.4739, 0.3689)
S (0.9436, 0.3926, 0.2831)
S (0.6074, 0.0564, 0.2169)
Re (0.3079, 0.0077, 0.9746)
S (0.9906, 0.9422, 0.5727)
Tl (0.3537, 0.8764, 0.5132)
S (0.5614, 0.7314, 0.3065)
Re (0.6921, 0.9923, 0.0254)
S (0.7298, 0.4381, 0.5209)
S (0.9422, 0.9906, 0.0727)
S (0.0578, 0.0094, 0.9273)
S (0.7161, 0.7911, 0.5688)
Re (0.5261, 0.8843, 0.1311)
Re (0.8843, 0.5261, 0.6311)
S (0.4386, 0.2686, 0.6935)
S (0.7911, 0.7161, 0.0688)
S (0.2702, 0.5619, 0.4791)
Tl (0.5856, 0.4144, 0.2500)
Tl (0.2070, 0.7930, 0.2500)
S (0.7461, 0.9260, 0.8310)
S (0.4381, 0.7298, 0.0209)
Tl (0.4144, 0.5856, 0.7500)
S (0.5619, 0.2702, 0.9791)
S (0.2686, 0.4386, 0.1935)
S (0.9260, 0.7461, 0.3310)
S (0.3926, 0.9436, 0.7831)

---

Entry from the Materials Project database: crystalline CdTe at its relaxed geometry (PBE).

## Properties
symmetry = P3_121 (152)
energy with MP2020 corrections = -15.54 eV per cell

Unit cell a=4.6247 b=4.6247 c=10.5000 alpha=90.00 beta=90.00 gamma=120.00
Atoms (fractional coordinates):
Te (0.4971, 0.0000, 0.8333)
Te (0.0000, 0.4971, 0.1667)
Cd (0.4936, 0.0000, 0.3333)
Cd (0.5064, 0.5064, 0.0000)
Cd (0.0000, 0.4936, 0.6667)
Te (0.5029, 0.5029, 0.5000)

---

Entry from the Materials Project database: crystalline KNa3Al4Si4O16 at its relaxed geometry (PBE).

## Properties
symmetry = P1 (1)
energy with MP2020 corrections = -418.04 eV per cell
polymorph energy (0 for the lowest one) = 11.4 meV/atom

Unit cell a=8.5130 b=10.0898 c=10.1267 alpha=61.03 beta=89.63 gamma=89.76
Atoms (fractional coordinates):
Al (0.3153, 0.6612, 0.6676)
Si (0.1933, 0.3345, 0.7600)
O (0.6874, 0.7124, 0.0548)
Na (0.9991, 0.5621, 0.4530)
Si (0.3213, 0.6622, 0.2396)
O (0.3262, 0.2329, 0.7300)
O (0.5172, 0.2996, 0.0475)
O (0.7317, 0.8231, 0.5194)
O (0.5001, 0.7044, 0.2688)
Al (0.8186, 0.7639, 0.9018)
Si (0.6982, 0.2405, 0.1000)
O (0.3187, 0.0408, 0.2019)
Al (0.8190, 0.3434, 0.3358)
O (0.0052, 0.9573, 0.3318)
O (0.2248, 0.5147, 0.6465)
Na (0.5117, 0.4397, 0.5633)
O (0.0167, 0.3920, 0.3392)
O (0.2348, 0.3378, 0.1813)
O (0.7796, 0.1643, 0.4907)
Na (0.5161, 0.5594, 0.9746)
O (0.6898, 0.0600, 0.2233)
Si (0.7028, 0.6565, 0.6655)
Na (0.0184, 0.9991, 0.5469)
O (0.8060, 0.2635, 0.9556)
O (0.5180, 0.0454, 0.6541)
O (0.3086, 0.4762, 0.3406)
Na (0.0131, 0.4424, 0.0038)
Si (0.1977, 0.3414, 0.3367)
O (0.5164, 0.6136, 0.6854)
O (0.2114, 0.9412, 0.7922)
O (0.3093, 0.7189, 0.0576)
O (0.2618, 0.6526, 0.8418)
O (0.2748, 0.8385, 0.5177)
Al (0.3194, 0.2368, 0.0971)
Na (0.5026, 0.9916, 0.4379)
Si (0.1964, 0.7600, 0.9083)
O (0.2377, 0.1789, 0.4840)
O (0.7954, 0.5249, 0.6442)
O (0.1926, 0.7464, 0.2904)
Al (0.8255, 0.3289, 0.7611)
O (0.7807, 0.3427, 0.1660)
O (0.0185, 0.2916, 0.7254)
Al (0.1995, 0.8983, 0.3372)
Si (0.6825, 0.6676, 0.2329)
Si (0.6990, 0.0999, 0.6577)
O (0.6902, 0.2306, 0.7098)
Al (0.8121, 0.9038, 0.3356)
K (0.5177, 0.0099, 0.9976)
O (0.0145, 0.7181, 0.9645)
O (0.8027, 0.7738, 0.2642)
O (0.8070, 0.9591, 0.7790)
K (0.0194, 0.0063, 0.0096)
Al (0.3228, 0.0997, 0.6644)
O (0.1991, 0.2947, 0.9367)
O (0.7119, 0.4882, 0.3469)
O (0.7632, 0.6527, 0.8208)

---

Entry from the Materials Project database: crystalline YMn2SiGe at its relaxed geometry (PBE).

## Properties
symmetry = I4mm (107)

Unit cell a=5.9996 b=5.9996 c=5.9996 alpha=142.00 beta=142.00 gamma=54.83
Atoms (fractional coordinates):
Y (0.9976, 0.9976, 0.0000)
Mn (0.7541, 0.2541, 0.5000)
Mn (0.2541, 0.7541, 0.5000)
Ge (0.6166, 0.6166, 0.0000)
Si (0.3777, 0.3777, 0.0000)

---

no.,energy of formation (meV per atom)
1,-784
2,-557
3,-3146
4,-561